Entry 1:
The following is a DFT calculation (GGA-PBE) of an optimized crystal structure of CuPb2Cl2O4.

Cell: 5.598 5.598 5.772 Å, 90.00 90.00 90.00°
Positions (direct):
Cu (0.000, 0.000, 0.000)
Pb (0.000, 0.500, 0.772)
Pb (0.500, 0.000, 0.772)
Cl (0.000, 0.000, 0.463)
Cl (0.500, 0.500, 0.524)
O (0.230, 0.230, 0.961)
O (0.230, 0.770, 0.961)
O (0.770, 0.230, 0.961)
O (0.770, 0.770, 0.961)

Calculated values
* E_form: -0.855 eV/atom

=====

Entry 2:
The following is a DFT calculation (GGA-PBE) of an optimized crystal structure of Sr5Al2F16.

Cell: 7.360 7.360 14.304 Å, 90.00 90.00 117.94°
Positions (direct):
Sr (0.250, 0.250, 0.123)
Sr (0.250, 0.250, 0.623)
Sr (0.250, 0.750, 0.250)
Sr (0.250, 0.750, 0.532)
Sr (0.250, 0.750, 0.968)
Sr (0.750, 0.250, 0.032)
Sr (0.750, 0.250, 0.468)
Sr (0.750, 0.250, 0.750)
Sr (0.750, 0.750, 0.377)
Sr (0.750, 0.750, 0.877)
Al (0.250, 0.250, 0.372)
Al (0.250, 0.250, 0.872)
Al (0.750, 0.750, 0.128)
Al (0.750, 0.750, 0.628)
F (0.008, 0.613, 0.396)
F (0.034, 0.868, 0.628)
F (0.069, 0.232, 0.963)
F (0.081, 0.250, 0.780)
F (0.113, 0.508, 0.104)
F (0.132, 0.966, 0.872)
F (0.232, 0.069, 0.463)
F (0.250, 0.081, 0.280)
F (0.250, 0.419, 0.280)
F (0.268, 0.431, 0.463)
F (0.368, 0.534, 0.872)
F (0.387, 0.992, 0.104)
F (0.419, 0.250, 0.780)
F (0.431, 0.268, 0.963)
F (0.466, 0.632, 0.628)
F (0.492, 0.887, 0.396)
F (0.508, 0.113, 0.604)
F (0.534, 0.368, 0.372)
F (0.569, 0.732, 0.037)
F (0.581, 0.750, 0.220)
F (0.613, 0.008, 0.896)
F (0.632, 0.466, 0.128)
F (0.732, 0.569, 0.537)
F (0.750, 0.581, 0.720)
F (0.750, 0.919, 0.720)
F (0.768, 0.931, 0.537)
F (0.868, 0.034, 0.128)
F (0.887, 0.492, 0.896)
F (0.919, 0.750, 0.220)
F (0.931, 0.768, 0.037)
F (0.966, 0.132, 0.372)
F (0.992, 0.387, 0.604)

Calculated values
* E_form: -4.117 eV/atom

=====

Entry 3:
The following is a DFT calculation (GGA-PBE) of an optimized crystal structure of Na2CuAg2S2O2.

Cell: 10.042 10.042 10.042 Å, 157.45 157.45 32.10°
Positions (direct):
Na (0.076, 0.076, 0.000)
Na (0.924, 0.924, 0.000)
Cu (0.500, 0.500, 0.000)
Ag (0.250, 0.750, 0.500)
Ag (0.750, 0.250, 0.500)
S (0.338, 0.338, 0.000)
S (0.662, 0.662, 0.000)
O (0.000, 0.500, 0.500)
O (0.500, 0.000, 0.500)

Calculated values
* E_form: -0.752 eV/atom

=====

Entry 4:
The following is a DFT calculation (GGA-PBE) of an optimized crystal structure of InPbCl3.

Cell: 5.760 5.760 5.757 Å, 90.17 90.17 88.86°
Positions (direct):
In (0.000, 0.000, 0.000)
Pb (0.603, 0.603, 0.419)
Cl (0.105, 0.659, 0.374)
Cl (0.644, 0.644, 0.921)
Cl (0.659, 0.105, 0.374)

Calculated values
* E_form: -1.367 eV/atom

=====

Entry 5:
The following is a DFT calculation (GGA-PBE) of an optimized crystal structure of Ni8Bi8S.

Cell: 10.128 17.576 4.228 Å, 90.00 90.00 90.00°
Positions (direct):
Ni (0.061, 0.108, 0.004)
Ni (0.090, 0.904, 0.498)
Ni (0.179, 0.055, 0.502)
Ni (0.190, 0.968, 0.002)
Ni (0.310, 0.468, 0.998)
Ni (0.321, 0.555, 0.498)
Ni (0.410, 0.404, 0.502)
Ni (0.439, 0.608, 0.996)
Ni (0.561, 0.392, 0.996)
Ni (0.590, 0.596, 0.502)
Ni (0.679, 0.445, 0.498)
Ni (0.690, 0.532, 0.998)
Ni (0.810, 0.032, 0.002)
Ni (0.821, 0.945, 0.502)
Ni (0.910, 0.096, 0.498)
Ni (0.939, 0.892, 0.004)
Bi (0.102, 0.203, 0.499)
Bi (0.147, 0.436, 0.500)
Bi (0.168, 0.813, 0.002)
Bi (0.170, 0.599, 0.000)
Bi (0.330, 0.099, 0.000)
Bi (0.332, 0.313, 0.998)
Bi (0.353, 0.936, 0.500)
Bi (0.398, 0.703, 0.501)
Bi (0.602, 0.297, 0.501)
Bi (0.647, 0.064, 0.500)
Bi (0.668, 0.687, 0.998)
Bi (0.670, 0.901, 0.000)
Bi (0.830, 0.401, 0.000)
Bi (0.832, 0.187, 0.002)
Bi (0.853, 0.564, 0.500)
Bi (0.898, 0.797, 0.499)
S (0.000, 0.000, 0.757)
S (0.500, 0.500, 0.243)

Calculated values
* E_form: -0.134 eV/atom

=====

Entry 6:
The following is a DFT calculation (GGA-PBE) of an optimized crystal structure of BaTiO3.

Cell: 4.004 4.004 4.201 Å, 90.00 90.00 90.00°
Positions (direct):
Ba (0.000, 0.000, 0.000)
Ti (0.500, 0.500, 0.520)
O (0.000, 0.500, 0.475)
O (0.500, 0.000, 0.475)
O (0.500, 0.500, 0.955)

Calculated values
* E_form: -3.489 eV/atom
* maximum piezoelectric response: 3.578 C/m²

=====

Entry 7:
The following is a DFT calculation (GGA-PBE) of an optimized crystal structure of Ti3Nb.

Cell: 9.069 2.900 2.900 Å, 67.96 90.00 90.00°
Positions (direct):
Ti (0.000, 0.000, 0.000)
Ti (0.248, 0.608, 0.608)
Ti (0.752, 0.608, 0.608)
Nb (0.500, 0.017, 0.017)

Calculated values
* E_form: 0.055 eV/atom

=====

Entry 8:
The following is a DFT calculation (GGA-PBE) of an optimized crystal structure of CaMn2Bi2.

Cell: 4.626 4.626 7.729 Å, 90.00 90.00 120.00°
Positions (direct):
Ca (0.000, 0.000, 0.000)
Mn (0.333, 0.667, 0.379)
Mn (0.667, 0.333, 0.621)
Bi (0.333, 0.667, 0.751)
Bi (0.667, 0.333, 0.249)

Calculated values
* E_form: 0.043 eV/atom